# Cs3AlO3

Cs3AlO3 after structural relaxation (meta-GGA r2SCAN, the Materials Project database).

Cell: 7.918 12.783 7.210 Å, 90.00 114.54 90.00°
Space group P2_1/c (No. 14)
Unique sites:
Cs: 0.021 0.152 0.439 [4 per cell]
Cs: 0.226 0.062 0.014 [4 per cell]
Cs: 0.426 0.696 0.631 [4 per cell]
Al: 0.359 0.545 0.013 [4 per cell]
O: 0.173 0.599 0.802 [4 per cell]
O: 0.335 0.563 0.242 [4 per cell]
O: 0.414 0.089 0.469 [4 per cell]

Results
**Energy of formation from the pure elements**: -2100 meV per atom
**Calculated volume**: 663.9 Å³/cell

# Cs3AlP2

Cs3AlP2 after structural relaxation (meta-GGA r2SCAN, the Materials Project database).

Cell: 11.339 8.727 19.122 Å, 90.00 100.11 90.00°
Space group P2_1/c (No. 14)
Unique sites:
Cs: 0.083 0.058 0.244 [4 per cell]
Cs: 0.150 0.524 0.967 [4 per cell]
Cs: 0.264 0.087 0.921 [4 per cell]
Cs: 0.290 0.119 0.661 [4 per cell]
Cs: 0.361 0.741 0.289 [4 per cell]
Cs: 0.376 0.568 0.611 [4 per cell]
Al: 0.043 0.612 0.554 [4 per cell]
Al: 0.464 0.053 0.428 [4 per cell]
P: 0.054 0.156 0.062 [4 per cell]
P: 0.103 0.714 0.139 [4 per cell]
P: 0.405 0.138 0.315 [4 per cell]
P: 0.494 0.701 0.969 [4 per cell]

Results
**Energy of formation from the pure elements**: -603 meV per atom
**Calculated volume**: 1862.9 Å³/cell